1.
Sb | PBE | relaxed

It has space group P-1 (No. 2), with a = 6.5398 Å, b = 9.0329 Å, c = 9.0686 Å, α = 98.34°, β = 109.19° and γ = 103.63°. The distinct sites, in fractional coordinates, are Sb at (0.0000, 0.0000, 0.0000), Sb at (0.0000, 0.5000, 0.5000), Sb at (0.0097, 0.3300, 0.9828), Sb at (0.0577, 0.1772, 0.3302), Sb at (0.1926, 0.2752, 0.6900), Sb at (0.3011, 0.6642, 0.3323), Sb at (0.4059, 0.0422, 0.8262), Sb at (0.5000, 0.0000, 0.5000) and Sb at (0.5000, 0.5000, 0.0000).

For the offset from the most stable computed form, the calculation gives 0.334 eV/atom. Its energy of formation from the pure elements is 0.33 eV per atom. Its crystal system is triclinic. Its density is 5.93 Mg/m³.

***

2.
Er3Si2Ni6 | PBE | relaxed

It has space group Im-3m (No. 229), with a = 8.7250 Å, b = 8.7250 Å, c = 8.7250 Å, α = 90.00°, β = 90.00° and γ = 90.00°. The distinct sites, in fractional coordinates, are Er at (0.0000, 0.0000, 0.2839), Si at (0.2500, 0.2500, 0.2500) and Ni at (0.0000, 0.3312, 0.3312).

Its energy of formation from the pure elements is -0.68 eV per atom. Its crystal system is cubic. Its density is 9.10 Mg/m³.